A geometry-optimized Mg6VZnO8 structure, computed with r2SCAN.

```
Mg6VZnO8
1.0
8.459 0.000 0.000
0.000 4.237 0.000
0.000 0.000 4.237
Mg V Zn O
6 1 1 8
direct
0.000 0.500 0.500
0.500 0.500 0.500
0.249 0.000 0.500
0.751 0.000 0.500
0.249 0.500 0.000
0.751 0.500 0.000
0.500 0.000 0.000
0.000 0.000 0.000
0.248 0.000 0.000
0.752 0.000 0.000
0.250 0.500 0.500
0.750 0.500 0.500
0.000 0.000 0.500
0.500 0.000 0.500
0.000 0.500 0.000
0.500 0.500 0.000
```

Computed properties:
symmetry: No. 123
energy relative to the elements: -2699 meV per atom


A geometry-optimized CaTlBr3 structure, computed with r2SCAN.

```
CaTlBr3
1.0
2.130 -7.093 0.000
2.130 7.093 0.000
0.000 0.000 10.876
Ca Tl Br
2 2 6
direct
0.000 0.000 0.000
0.000 0.000 0.500
0.257 0.743 0.250
0.743 0.257 0.750
0.635 0.365 0.051
0.365 0.635 0.949
0.365 0.635 0.551
0.635 0.365 0.449
0.932 0.068 0.250
0.068 0.932 0.750
```

Computed properties:
symmetry: No. 63
energy relative to the elements: -1803 meV per atom


A geometry-optimized LaNiGe3 structure, computed with r2SCAN.

```
LaNiGe3
1.0
4.402 0.002 0.000
0.002 4.402 0.000
-2.202 -2.202 4.841
La Ni Ge
1 1 3
direct
0.572 0.572 0.144
0.235 0.235 0.469
0.330 0.830 0.660
0.830 0.330 0.660
0.991 0.991 0.982
```

Computed properties:
symmetry: No. 107
energy relative to the elements: -641 meV per atom